# Li2CoSi2O6

An optimized crystal structure of Li2CoSi2O6 (PBE+U, Materials Project).

```
Li2CoSi2O6
1.0
0.000 10.682 11.551
3.174 0.000 11.551
3.174 10.682 0.000
Si Li O Co
12 12 36 6
Cartesian
1.587 5.341 11.203
4.769 9.499 11.697
3.165 13.709 9.944
4.771 19.050 15.720
3.184 7.656 9.944
3.174 10.682 20.993
3.174 10.682 5.428
1.587 5.341 3.667
4.752 12.997 15.720
3.181 6.524 17.472
1.580 11.865 11.697
3.167 14.840 17.472
3.149 6.872 6.486
1.546 8.321 4.147
1.562 9.152 12.262
4.761 16.023 22.844
3.133 18.384 9.922
3.174 10.682 17.068
3.215 2.980 9.922
3.174 10.682 9.126
4.761 16.023 14.901
3.200 14.493 6.486
4.787 12.213 12.262
1.628 2.361 4.147
4.567 13.983 17.093
3.440 2.139 11.763
4.980 13.918 14.412
1.523 3.928 2.888
3.401 12.089 15.652
2.948 9.275 15.652
1.378 10.806 10.408
3.408 9.310 4.456
4.543 18.129 14.412
2.908 19.225 11.763
4.527 14.651 10.231
3.393 12.788 8.636
3.110 12.095 20.215
1.321 7.480 5.988
2.980 12.722 11.318
1.806 10.449 6.251
2.940 12.055 4.456
2.956 5.108 12.027
3.347 5.090 7.226
4.971 10.558 10.408
4.543 10.916 6.251
1.821 6.713 10.231
1.813 14.616 9.876
4.589 10.431 13.001
3.369 8.642 11.318
3.393 16.257 12.027
3.002 16.274 7.226
1.760 10.933 13.001
3.383 5.465 16.183
2.965 15.899 16.183
1.853 3.202 5.988
4.956 18.063 17.093
1.651 6.754 2.888
2.956 8.577 8.636
3.238 9.269 20.215
4.535 6.748 9.876
1.709 1.793 7.395
3.052 17.816 13.170
3.296 3.548 13.170
1.465 8.889 7.395
4.761 16.023 20.058
3.174 10.682 14.283
```

Calculated values
ΔE to the lowest computed polymorph (eV per formula unit): 0.61
E_form (meV per atom): -2654
Energy with MP2020 corrections (eV/atom): -7.3327